Record 1
Below is Sr3Sn3Au8 after structural relaxation, with properties calculated at the PBE level.

a = 8.9805 Å, b = 8.9805 Å, c = 9.8851 Å
α = 57.48°, β = 57.48°, γ = 30.84°
Last column: nearest neighbours and their distance in Å.
Fractional coordinates of all 14 atoms:
Au: 0.6593 0.6593 0.9704  1 Sn 2.74, 3 Au 2.83-2.90
Au: 0.5035 0.5035 0.6972  3 Sn 2.82-3.10, 5 Au 2.90-3.06
Au: 0.8729 0.8729 0.8526  4 Au 2.83-3.05, 1 Sn 2.90
Au: 0.3407 0.3407 0.0296  1 Sn 2.74, 3 Au 2.83-2.90
Au: 0.1271 0.1271 0.1474  4 Au 2.83-3.05, 1 Sn 2.90
Au: 0.4965 0.4965 0.3028  3 Sn 2.82-3.10, 5 Au 2.90-3.06
Au: 0.1370 0.1370 0.5776  4 Sn 2.79-2.87, 2 Au 3.06
Au: 0.8630 0.8630 0.4224  4 Sn 2.79-2.87, 2 Au 3.06
Sn: 0.0000 0.0000 0.5000  8 Au 2.87-3.10
Sn: 0.3291 0.3291 0.3178  5 Au 2.74-2.85
Sn: 0.6709 0.6709 0.6822  5 Au 2.74-2.85
Sr: 0.6981 0.6981 0.2741  10 Au 3.24-3.62, 2 Sn 3.48
Sr: 0.3019 0.3019 0.7259  10 Au 3.24-3.62, 2 Sn 3.48
Sr: 0.0000 0.0000 0.0000  8 Au 3.25-3.53

Calculated values
**Final energy**: -0.13409 hartree per atom
**Offset from the most stable computed form**: 7 meV per atom

---

Record 2
Below is HfTa3C4 after structural relaxation, with properties calculated at the PBE level.

a = 3.1785 Å, b = 3.1785 Å, c = 11.1498 Å
α = 89.99°, β = 90.01°, γ = 120.01°
Last column: nearest neighbours and their distance in Å.
Fractional coordinates of all 8 atoms:
C: 0.3333 0.6667 0.6279  6 Ta 2.28-2.31
C: 0.3333 0.6667 0.1176  3 Ta 2.27, 3 Hf 2.36
C: 0.6667 0.3333 0.8721  6 Ta 2.28-2.31
C: 0.6667 0.3333 0.3824  3 Ta 2.27, 3 Hf 2.36
Hf: 0.0000 0.0000 0.2500  6 C 2.36
Ta: 0.0000 0.0000 0.7500  6 C 2.28-2.29
Ta: 0.0000 0.0000 0.9975  6 C 2.27-2.31
Ta: 0.0000 0.0000 0.5025  6 C 2.27-2.31

Calculated values
**Final energy**: -0.38894 hartree per atom

---

Record 3
Below is BaBi4O8 after structural relaxation, with properties calculated at the PBE level.

a = 6.5147 Å, b = 6.5147 Å, c = 7.6729 Å
α = 90.00°, β = 90.00°, γ = 120.00°
Last column: nearest neighbours and their distance in Å.
Fractional coordinates of all 13 atoms:
O: 0.3285 0.0000 0.2627  2 Bi 2.19
O: 0.3285 0.3285 0.7373  2 Bi 2.19
O: 0.3333 0.6667 0.0000  2 Bi 2.08
O: 0.6667 0.3333 0.0000  2 Bi 2.08
O: 0.0000 0.6715 0.7373  2 Bi 2.19
O: 0.0000 0.3285 0.2627  2 Bi 2.19
O: 0.6715 0.0000 0.7373  2 Bi 2.19
O: 0.6715 0.6715 0.2627  2 Bi 2.19
Bi: 0.6667 0.3333 0.2705  4 O 2.08-2.19
Bi: 0.3333 0.6667 0.2705  4 O 2.08-2.19
Bi: 0.3333 0.6667 0.7295  4 O 2.08-2.19
Bi: 0.6667 0.3333 0.7295  4 O 2.08-2.19
Ba: 0.0000 0.0000 0.0000  6 O 2.94

Calculated values
**Final energy**: -0.20267 hartree per atom

---

Record 4
Below is Na8NbAl3Si4P2O24 after structural relaxation, with properties calculated at the PBE level.

a = 8.8548 Å, b = 8.8607 Å, c = 21.7621 Å
α = 89.82°, β = 89.91°, γ = 119.96°
Last column: nearest neighbours and their distance in Å.
Fractional coordinates of all 126 atoms:
Al: 0.0022 0.0061 0.8524  6 O 1.86-1.99
Al: 0.6643 0.3322 0.6848  5 O 1.85-1.96
Al: 0.3327 0.6599 0.5172  5 O 1.85-1.99
Al: 0.0041 0.9995 0.1483  6 O 1.90-2.05
Al: 0.9994 0.0001 0.3554  6 O 1.89-2.00
Al: 0.3345 0.6674 0.3199  3 O 1.81-1.82
Al: 0.3275 0.6605 0.0191  5 O 1.85-1.96
Al: 0.9933 0.0031 0.6467  5 O 1.84-1.99
Al: 0.6685 0.3382 0.1834  3 O 1.82-1.93
O: 0.1631 0.4714 0.2536  1 P 1.56
O: 0.9666 0.1698 0.3063  1 P 1.55
O: 0.9787 0.1593 0.5895  1 Si 1.63
O: 0.6905 0.1764 0.7427  1 Si 1.64
O: 0.2988 0.8307 0.9780  1 Si 1.61
O: 0.1587 0.1820 0.4069  1 Si 1.64
O: 0.8199 0.8398 0.9096  1 Si 1.61
O: 0.6408 0.1448 0.4215  1 Si 1.67
O: 0.2027 0.1650 0.8105  1 Si 1.63
O: 0.1541 0.6474 0.0780  1 Si 1.62
O: 0.8681 0.4952 0.1441  1 Si 1.62
O: 0.9741 0.8192 0.0926  1 Si 1.63
O: 0.1573 0.9742 0.9104  1 Si 1.61
O: 0.4760 0.1657 0.2427  1 P 1.57
O: 0.5028 0.3678 0.1441  1 Si 1.62
O: 0.3064 0.4772 0.7541  1 Si 1.69
O: 0.6412 0.4958 0.9221  1 Si 1.66
O: 0.4937 0.6469 0.5778  1 Si 1.63
O: 0.5191 0.8320 0.7544  1 Si 1.69
O: 0.5033 0.8619 0.0794  1 P 1.53
O: 0.7003 0.5359 0.5259  1 Si 1.69
O: 0.1615 0.1956 0.6893  1 Si 1.61
O: 0.1622 0.6943 0.7542  1 P 1.58
O: 0.2051 0.0342 0.3062  1 P 1.55
O: 0.0289 0.2001 0.1920  1 P 1.55
O: 0.1516 0.5117 0.5776  1 Si 1.63
O: 0.4940 0.1275 0.6415  1 P 1.54
O: 0.6934 0.5268 0.2439  1 P 1.58
O: 0.4997 0.6281 0.8585  1 Si 1.66
O: 0.4857 0.3108 0.7432  1 Si 1.64
O: 0.8159 0.9759 0.4073  1 Si 1.64
O: 0.1778 0.1592 0.0927  1 Si 1.63
O: 0.8511 0.3544 0.9231  1 Si 1.65
O: 0.7028 0.1588 0.0282  1 P 1.58
O: 0.8475 0.8176 0.5907  1 Si 1.63
O: 0.2930 0.4610 0.4758  1 Si 1.62
O: 0.3586 0.8606 0.5789  1 P 1.54
O: 0.8325 0.0253 0.0925  1 P 1.55
O: 0.6298 0.4968 0.6443  1 Si 1.62
O: 0.8330 0.0347 0.8107  1 Si 1.63
O: 0.5049 0.1455 0.9227  1 Si 1.66
O: 0.1711 0.7060 0.4765  1 Si 1.62
O: 0.4971 0.8690 0.3546  1 Si 1.63, 1 Al 1.81
O: 0.1920 0.0234 0.5913  1 P 1.54
O: 0.5334 0.8297 0.4765  1 Si 1.62
O: 0.0343 0.8322 0.6924  1 P 1.53
O: 0.9682 0.7966 0.8079  1 P 1.54
O: 0.5275 0.6924 0.2539  1 P 1.56
O: 0.7965 0.9581 0.6899  1 Si 1.61
O: 0.7990 0.8305 0.1922  1 P 1.55
O: 0.8309 0.3045 0.2432  1 P 1.58
O: 0.8345 0.2970 0.5259  1 Si 1.69
O: 0.1263 0.5002 0.8578  1 Si 1.66
O: 0.0230 0.1808 0.9112  1 Si 1.61
O: 0.8299 0.7970 0.3062  1 P 1.55
O: 0.4585 0.2935 0.0265  1 Si 1.69
O: 0.1316 0.6276 0.3547  1 Si 1.63, 1 Al 1.81
O: 0.3592 0.5108 0.0779  1 Si 1.63
O: 0.1724 0.9686 0.1924  1 P 1.55
O: 0.5015 0.3545 0.4217  1 Si 1.67
O: 0.8362 0.5299 0.7450  1 P 1.55
O: 0.8352 0.5381 0.0264  1 Si 1.69
O: 0.1680 0.4637 0.9772  1 Si 1.61
O: 0.8561 0.4978 0.4209  1 Si 1.68
O: 0.0233 0.8401 0.4072  1 Si 1.63
O: 0.3698 0.8700 0.8578  1 Si 1.66
O: 0.6337 0.1305 0.1419  1 P 1.54
O: 0.5344 0.7054 0.9780  1 Si 1.60
O: 0.3087 0.8348 0.2543  1 P 1.56
O: 0.8653 0.3689 0.6443  1 Si 1.62
O: 0.3728 0.5026 0.3544  1 Si 1.63, 1 Al 1.82
O: 0.4566 0.1582 0.5276  1 P 1.58
Na: 0.2960 0.9635 0.0828  6 O 2.42-2.63
Na: 0.3245 0.2944 0.9135  5 O 2.34-2.54
Na: 0.9942 0.3594 0.7460  5 O 2.35-2.58
Na: 0.3702 0.0084 0.7480  5 O 2.34-2.55
Na: 0.6646 0.6989 0.0841  6 O 2.37-2.64
Na: 0.0020 0.6325 0.2520  6 O 2.39-2.64
Na: 0.3313 0.6641 0.1666  6 O 2.44-2.51
Na: 0.7042 0.0306 0.9133  5 O 2.38-2.50
Na: 0.6370 0.6323 0.7446  5 O 2.35-2.55
Na: 0.6642 0.3296 0.8282  6 O 2.39-2.59
Na: 0.6316 0.9977 0.2532  5 O 2.38-2.49
Na: 0.9725 0.2991 0.4159  4 O 2.35-2.55
Na: 0.3342 0.6640 0.6611  6 O 2.35-2.63
Na: 0.3673 0.3690 0.2520  6 O 2.39-2.64
Na: 0.2986 0.3367 0.5838  6 O 2.41-2.60
Na: 0.6682 0.9633 0.5826  6 O 2.42-2.61
Na: 0.0384 0.3380 0.0841  6 O 2.40-2.63
Na: 0.9719 0.6739 0.9147  5 O 2.33-2.57
Na: 0.9979 0.9999 0.5000  6 O 2.46-2.57
Na: 0.3288 0.0289 0.4159  5 O 2.37-2.64
Na: 0.6990 0.6724 0.4160  5 O 2.36-2.64
Na: 0.0021 0.0001 0.9992  6 O 2.44-2.60
Na: 0.0336 0.6989 0.5826  5 O 2.36-2.59
Na: 0.6659 0.3325 0.3325  6 O 2.48-2.53
P: 0.9983 0.2861 0.2490  4 O 1.55-1.58
P: 0.6668 0.0411 0.0872  4 O 1.53-1.58
P: 0.9955 0.7160 0.7493  4 O 1.53-1.58
P: 0.3736 0.0400 0.5863  4 O 1.54-1.58
P: 0.2893 0.0004 0.2495  4 O 1.55-1.57
P: 0.7133 0.7131 0.2494  4 O 1.55-1.58
Si: 0.3260 0.9520 0.9192  4 O 1.61-1.66
Si: 0.3264 0.3777 0.4147  4 O 1.62-1.67
Si: 0.0457 0.3720 0.9188  4 O 1.61-1.66
Si: 0.6192 0.9470 0.4154  4 O 1.62-1.67
Si: 0.9638 0.3355 0.5876  4 O 1.62-1.69
Si: 0.2867 0.2779 0.7481  4 O 1.61-1.69
Si: 0.6277 0.6761 0.9197  4 O 1.60-1.66
Si: 0.6670 0.6303 0.5878  4 O 1.62-1.69
Si: 0.0558 0.6751 0.4153  4 O 1.62-1.68
Si: 0.9645 0.6307 0.0880  4 O 1.62-1.69
Si: 0.3692 0.3343 0.0883  4 O 1.62-1.69
Si: 0.7203 0.0088 0.7488  4 O 1.61-1.69
Nb: 0.6730 0.3383 0.4796  6 O 1.93-2.06
Nb: 0.6644 0.3372 0.9811  6 O 1.93-2.05
Nb: 0.3364 0.6656 0.8116  6 O 1.93-2.10

Calculated values
**Final energy**: -0.25205 hartree per atom

---

Record 5
Below is MgTe2Mo3Se2S2 after structural relaxation, with properties calculated at the PBE level.

a = 3.3424 Å, b = 3.3425 Å, c = 30.9619 Å
α = 90.00°, β = 90.00°, γ = 120.00°
Last column: nearest neighbours and their distance in Å.
Fractional coordinates of all 10 atoms:
Te: 0.6667 0.3333 0.5172  3 Mo 2.70
Te: 0.6666 0.3333 0.6395  3 Mo 2.70
Mo: 0.3333 0.6666 0.5784  6 Te 2.70
Mo: 0.3333 0.6666 0.1156  6 S 2.45
Mo: 0.6667 0.3334 0.3469  6 Se 2.55
Se: 0.3334 0.6667 0.2932  3 Mo 2.55
Se: 0.3334 0.6667 0.4007  3 Mo 2.55
S: 0.6667 0.3333 0.1646  3 Mo 2.45
S: 0.6667 0.3333 0.0667  3 Mo 2.45
Mg: 0.6504 0.2222 0.8636  6 Mg 3.34

Calculated values
**Final energy**: -0.22031 hartree per atom
**Offset from the most stable computed form**: 42 meV per atom

---

Record 6
Below is Hf6Zr4Ta8Ti3Nb6B54 after structural relaxation, with properties calculated at the PBE level.

a = 9.3468 Å, b = 9.3495 Å, c = 10.1863 Å
α = 90.01°, β = 90.00°, γ = 120.00°
Last column: nearest neighbours and their distance in Å.
Fractional coordinates of all 81 atoms:
B: 0.1095 0.4449 0.3358  3 B 1.78-1.81
B: 0.6652 0.5543 0.0025  3 B 1.78-1.80
B: 0.3329 0.8903 0.0021  3 B 1.78-1.81
B: 0.4437 0.1116 0.0030  3 B 1.77-1.79
B: 0.1113 0.4453 0.9990  3 B 1.79-1.80
B: 0.4458 0.4444 0.0006  3 B 1.78-1.81
B: 0.1112 0.7776 0.3297  3 B 1.79-1.81
B: 0.4433 0.4445 0.6672  3 B 1.79-1.80
B: 0.7787 0.4421 0.6644  3 B 1.78-1.83
B: 0.3331 0.5562 0.3330  3 B 1.79-1.83
B: 0.3331 0.2234 0.6684  3 B 1.79-1.83
B: 0.0007 0.5560 0.0013  3 B 1.79-1.82
B: 0.7769 0.4432 0.3332  3 B 1.78-1.80
B: 0.7760 0.4433 0.0022  3 B 1.79-1.82
B: 0.4434 0.7773 0.3322  3 B 1.79-1.81
B: 0.1112 0.1102 0.3322  3 B 1.79-1.82
B: 0.3323 0.5551 0.6677  3 B 1.79-1.80
B: 0.0005 0.8887 0.3316  3 B 1.79-1.80
B: 0.4450 0.1128 0.3285  3 B 1.77-1.81
B: 0.3340 0.8878 0.6678  3 B 1.78-1.81
B: 0.9992 0.5545 0.3346  3 B 1.78-1.81
B: 0.6654 0.5549 0.6664  3 B 1.80-1.83
B: 0.9986 0.2225 0.3365  3 B 1.78-1.82
B: 0.1137 0.1107 0.0009  3 B 1.78-1.83
B: 0.9998 0.2244 0.6641  3 B 1.78-1.81
B: 0.7778 0.7770 0.3334  3 B 1.80-1.81
B: 0.1129 0.7794 0.0040  3 B 1.78-1.81
B: 0.4463 0.1112 0.6677  3 B 1.80-1.83
B: 0.6648 0.8875 0.0006  3 B 1.79-1.82
B: 0.1100 0.4439 0.6650  3 B 1.77-1.80
B: 0.4464 0.4434 0.3322  3 B 1.78-1.83
B: 0.7781 0.1128 0.3356  3 B 1.78-1.81
B: 0.1118 0.1133 0.6666  3 B 1.79-1.82
B: 0.3324 0.8888 0.3303  3 B 1.79-1.81
B: 0.1122 0.7765 0.6658  3 B 1.80-1.82
B: 0.6654 0.2223 0.0010  3 B 1.79
B: 0.9999 0.5526 0.6643  3 B 1.77-1.81
B: 0.6665 0.5541 0.3310  3 B 1.78-1.81
B: 0.7765 0.7776 0.6649  3 B 1.80-1.81
B: 0.6653 0.8893 0.6659  3 B 1.79-1.81
B: 0.4441 0.7779 0.0007  3 B 1.79-1.81
B: 0.6685 0.2223 0.6659  3 B 1.77-1.80
B: 0.7763 0.7761 0.0014  3 B 1.80-1.83
B: 0.7781 0.1134 0.6645  3 B 1.77-1.81
B: 0.4440 0.7776 0.6671  3 B 1.78-1.80
B: 0.6667 0.2239 0.3338  3 B 1.78-1.80
B: 0.3353 0.2220 0.3295  3 B 1.77-1.81
B: 0.0025 0.8895 0.0038  3 B 1.78-1.83
B: 0.0002 0.2231 0.9993  3 B 1.80-1.83
B: 0.6670 0.8893 0.3341  3 B 1.81
B: 0.3342 0.5564 0.9998  3 B 1.79-1.81
B: 0.0000 0.8892 0.6649  3 B 1.81-1.82
B: 0.3342 0.2214 0.0022  3 B 1.77-1.81
B: 0.7764 0.1116 0.9995  3 B 1.79-1.82
Hf: 0.8893 0.6651 0.4988  12 B 2.45-2.49
Hf: 0.5530 0.6657 0.4990  12 B 2.46-2.50
Hf: 0.8886 0.3345 0.1683  12 B 2.45-2.50
Hf: 0.8890 0.9994 0.1663  12 B 2.45-2.50
Hf: 0.5544 0.3321 0.8340  12 B 2.46-2.51
Hf: 0.5538 0.9996 0.1668  12 B 2.44-2.50
Nb: 0.2233 0.6657 0.5001  12 B 2.45-2.51
Nb: 0.2250 0.0003 0.8315  12 B 2.45-2.51
Nb: 0.2225 0.3353 0.4987  12 B 2.45-2.51
Nb: 0.5543 0.3314 0.5005  12 B 2.46-2.50
Nb: 0.2247 0.6671 0.8356  12 B 2.44-2.52
Nb: 0.5549 0.9996 0.4986  12 B 2.45-2.50
Zr: 0.2247 0.0010 0.4992  12 B 2.48-2.50
Zr: 0.8903 0.6663 0.8350  12 B 2.46-2.51
Zr: 0.2240 0.3345 0.1666  12 B 2.46-2.51
Zr: 0.8890 0.0010 0.8329  12 B 2.47-2.52
Ta: 0.8908 0.3335 0.8311  12 B 2.45-2.52
Ta: 0.2231 0.3363 0.8351  12 B 2.45-2.51
Ta: 0.2236 0.6681 0.1642  12 B 2.43-2.52
Ta: 0.5533 0.6654 0.1700  12 B 2.44-2.49
Ta: 0.5512 0.6663 0.8316  12 B 2.43-2.53
Ta: 0.8901 0.6662 0.1659  12 B 2.44-2.48
Ta: 0.5522 0.9975 0.8349  12 B 2.45-2.52
Ta: 0.8886 0.0024 0.5011  12 B 2.45-2.51
Ti: 0.5542 0.3330 0.1648  12 B 2.43-2.49
Ti: 0.2243 0.0001 0.1699  12 B 2.41-2.48
Ti: 0.8899 0.3330 0.4998  12 B 2.43-2.48

Calculated values
**Final energy**: -0.31846 hartree per atom

---

Record 7
Below is Pr3SnN after structural relaxation, with properties calculated at the PBE level.

a = 5.0608 Å, b = 5.0608 Å, c = 5.0608 Å
α = 90.00°, β = 90.00°, γ = 90.00°
Last column: nearest neighbours and their distance in Å.
Fractional coordinates of all 5 atoms:
Pr: 0.0000 0.5000 0.0000  2 N 2.53
Pr: 0.5000 0.0000 0.0000  2 N 2.53
Pr: 0.0000 0.0000 0.5000  2 N 2.53
Sn: 0.5000 0.5000 0.5000  12 Pr 3.58
N: 0.0000 0.0000 0.0000  6 Pr 2.53

Calculated values
**Final energy**: -0.22998 hartree per atom

---

Record 8
Below is ErGa3Os after structural relaxation, with properties calculated at the PBE level.

a = 6.4092 Å, b = 6.4092 Å, c = 6.4092 Å
α = 90.00°, β = 90.00°, γ = 90.00°
Last column: nearest neighbours and their distance in Å.
Fractional coordinates of all 15 atoms:
Ga: 0.7114 0.7114 0.2886  3 Os 2.66, 3 Ga 2.71, 3 Er 2.95
Ga: 0.7114 0.2886 0.7114  3 Os 2.66, 3 Ga 2.71, 3 Er 2.95
Ga: 0.7114 0.2886 0.2886  3 Os 2.66, 3 Ga 2.71, 3 Er 2.95
Ga: 0.2886 0.7114 0.2886  3 Os 2.66, 3 Ga 2.71, 3 Er 2.95
Ga: 0.0000 0.0000 0.0000  8 Ga 3.20, 6 Er 3.20
Ga: 0.2886 0.2886 0.2886  3 Os 2.66, 3 Ga 2.71, 3 Er 2.95
Ga: 0.2886 0.2886 0.7114  3 Os 2.66, 3 Ga 2.71, 3 Er 2.95
Ga: 0.7114 0.7114 0.7114  3 Os 2.66, 3 Ga 2.71, 3 Er 2.95
Ga: 0.2886 0.7114 0.7114  3 Os 2.66, 3 Ga 2.71, 3 Er 2.95
Er: 0.0000 0.0000 0.5000  10 Ga 2.95-3.20, 4 Os 3.20
Er: 0.0000 0.5000 0.0000  10 Ga 2.95-3.20, 4 Os 3.20
Er: 0.5000 0.0000 0.0000  10 Ga 2.95-3.20, 4 Os 3.20
Os: 0.5000 0.0000 0.5000  8 Ga 2.66
Os: 0.0000 0.5000 0.5000  8 Ga 2.66
Os: 0.5000 0.5000 0.0000  8 Ga 2.66

Calculated values
**Final energy**: -0.20070 hartree per atom

---

Calculated formation energy for every record listed, in sequence, given in eV per atom: -0.56; -0.28; -1.55; -2.89; -0.53; -0.84; -0.99; -0.49.